[1]
{
  "formula": "TlPb8Br9O4",
  "functional": "PBE-GGA",
  "state": "optimized geometry",
  "space_group": "P4/n (85)",
  "formation_enthalpy_0k_ev_per_atom": -1.1774,
  "lattice": [[-8.061, -5.020, 8.283], [9.627, -2.966, 7.571], [-0.711, 7.451, 3.824]],
  "species": ["Br", "Br", "Br", "Br", "Br", "Br", "Br", "Br", "Br", "Br", "Br", "Br", "Br", "Br", "Br", "Br", "Br", "Br", "Pb", "Pb", "Pb", "Pb", "Pb", "Pb", "Pb", "Pb", "Pb", "Pb", "Pb", "Pb", "Pb", "Pb", "Pb", "Pb", "O", "O", "O", "O", "O", "O", "O", "O", "Tl", "Tl"],
  "fractional_positions": [[0.788, 0.382, 0.114], [0.620, 0.818, 0.401], [0.382, 0.212, 0.886], [0.682, 0.120, 0.401], [0.000, 0.000, 0.000], [0.380, 0.182, 0.401], [0.880, 0.682, 0.599], [0.212, 0.618, 0.114], [0.712, 0.118, 0.886], [0.818, 0.380, 0.599], [0.318, 0.880, 0.401], [0.120, 0.318, 0.599], [0.118, 0.288, 0.114], [0.500, 0.500, 0.000], [0.618, 0.788, 0.886], [0.288, 0.882, 0.886], [0.882, 0.712, 0.114], [0.182, 0.620, 0.599], [0.945, 0.137, 0.354], [0.445, 0.637, 0.646], [0.732, 0.584, 0.823], [0.416, 0.732, 0.177], [0.863, 0.945, 0.646], [0.916, 0.232, 0.823], [0.363, 0.445, 0.354], [0.232, 0.084, 0.177], [0.768, 0.916, 0.177], [0.084, 0.768, 0.823], [0.268, 0.416, 0.823], [0.637, 0.555, 0.354], [0.137, 0.055, 0.646], [0.584, 0.268, 0.177], [0.055, 0.863, 0.354], [0.555, 0.363, 0.646], [0.608, 0.546, 0.628], [0.392, 0.454, 0.628], [0.454, 0.608, 0.372], [0.108, 0.046, 0.372], [0.546, 0.392, 0.372], [0.046, 0.892, 0.628], [0.892, 0.954, 0.372], [0.954, 0.108, 0.628], [0.500, 0.000, 0.668], [0.000, 0.500, 0.332]]
}

---

[2]
{
  "formula": "CaAl8Ni2",
  "functional": "PBE-GGA",
  "state": "optimized geometry",
  "space_group": "Pbam (55)",
  "formation_enthalpy_0k_ev_per_atom": -0.3839,
  "lattice": [[0.000, 0.000, -3.941], [0.000, -14.448, 0.000], [-12.690, 0.000, 0.000]],
  "species": ["Al", "Al", "Al", "Al", "Al", "Al", "Al", "Al", "Al", "Al", "Al", "Al", "Al", "Al", "Al", "Al", "Al", "Al", "Al", "Al", "Al", "Al", "Al", "Al", "Al", "Al", "Al", "Al", "Al", "Al", "Al", "Al", "Ni", "Ni", "Ni", "Ni", "Ni", "Ni", "Ni", "Ni", "Ca", "Ca", "Ca", "Ca"],
  "fractional_positions": [[0.000, 0.255, 0.105], [0.500, 0.823, 0.760], [0.500, 0.321, 0.952], [0.500, 0.500, 0.000], [0.000, 0.547, 0.158], [0.500, 0.177, 0.240], [0.500, 0.508, 0.668], [0.500, 0.634, 0.471], [0.500, 0.323, 0.740], [0.500, 0.383, 0.165], [0.500, 0.677, 0.260], [0.500, 0.992, 0.168], [0.000, 0.500, 0.500], [0.500, 0.134, 0.029], [0.000, 0.953, 0.658], [0.000, 0.453, 0.842], [0.500, 0.366, 0.529], [0.500, 0.008, 0.832], [0.500, 0.179, 0.452], [0.500, 0.000, 0.500], [0.500, 0.883, 0.335], [0.000, 0.755, 0.395], [0.500, 0.117, 0.665], [0.500, 0.821, 0.548], [0.500, 0.679, 0.048], [0.500, 0.617, 0.835], [0.000, 0.000, 0.000], [0.500, 0.492, 0.332], [0.000, 0.047, 0.342], [0.000, 0.245, 0.605], [0.000, 0.745, 0.895], [0.500, 0.866, 0.971], [0.000, 0.903, 0.845], [0.000, 0.406, 0.037], [0.000, 0.594, 0.963], [0.000, 0.094, 0.537], [0.000, 0.403, 0.655], [0.000, 0.906, 0.463], [0.000, 0.097, 0.155], [0.000, 0.597, 0.345], [0.000, 0.178, 0.847], [0.000, 0.322, 0.347], [0.000, 0.822, 0.153], [0.000, 0.678, 0.653]]
}

---

[3]
{
  "formula": "Gd2Cl3",
  "functional": "PBE-GGA",
  "state": "optimized geometry",
  "space_group": "P1 (1)",
  "formation_enthalpy_0k_ev_per_atom": -2.2024,
  "lattice": [[3.838, 0.004, 0.791], [1.450, 7.263, 2.719], [0.003, 0.037, 9.731]],
  "species": ["Cl", "Cl", "Cl", "Cl", "Cl", "Cl", "Gd", "Gd", "Gd", "Gd"],
  "fractional_positions": [[0.935, 0.575, 0.564], [0.825, 0.421, 0.935], [0.537, 0.132, 0.783], [0.238, 0.967, 0.538], [0.364, 0.105, 0.167], [0.634, 0.405, 0.319], [0.451, 0.746, 0.347], [0.183, 0.532, 0.105], [0.731, 0.790, 0.757], [0.996, 0.999, 0.997]]
}

---

[4]
{
  "formula": "Cs2NaCaF6",
  "functional": "PBE-GGA",
  "state": "optimized geometry",
  "space_group": "Fm-3m (225)",
  "formation_enthalpy_0k_ev_per_atom": -3.0552,
  "lattice": [[0.000, 4.623, 4.623], [4.623, 0.000, 4.623], [4.623, 4.623, 0.000]],
  "species": ["F", "F", "F", "F", "F", "F", "Cs", "Cs", "Ca", "Na"],
  "fractional_positions": [[0.746, 0.254, 0.746], [0.254, 0.254, 0.746], [0.254, 0.746, 0.254], [0.746, 0.746, 0.254], [0.254, 0.746, 0.746], [0.746, 0.254, 0.254], [0.750, 0.750, 0.750], [0.250, 0.250, 0.250], [0.500, 0.500, 0.500], [0.000, 0.000, 0.000]]
}

---

[5]
{
  "formula": "KSn2P3O12",
  "functional": "PBE-GGA",
  "state": "optimized geometry",
  "space_group": "R-3 (148)",
  "formation_enthalpy_0k_ev_per_atom": -2.5486,
  "lattice": [[8.349, -4.241, 0.000], [8.349, 4.241, 0.000], [6.194, 0.000, 7.023]],
  "species": ["O", "O", "O", "O", "O", "O", "O", "O", "O", "O", "O", "O", "O", "O", "O", "O", "O", "O", "O", "O", "O", "O", "O", "O", "K", "K", "P", "P", "P", "P", "P", "P", "Sn", "Sn", "Sn", "Sn"],
  "fractional_positions": [[0.715, 0.027, 0.651], [0.043, 0.974, 0.683], [0.881, 0.481, 0.722], [0.392, 0.765, 0.622], [0.317, 0.957, 0.026], [0.285, 0.973, 0.349], [0.608, 0.235, 0.378], [0.683, 0.043, 0.974], [0.235, 0.378, 0.608], [0.722, 0.881, 0.481], [0.974, 0.683, 0.043], [0.349, 0.285, 0.973], [0.378, 0.608, 0.235], [0.026, 0.317, 0.957], [0.651, 0.715, 0.027], [0.973, 0.349, 0.285], [0.519, 0.278, 0.119], [0.765, 0.622, 0.392], [0.027, 0.651, 0.715], [0.957, 0.026, 0.317], [0.119, 0.519, 0.278], [0.481, 0.722, 0.881], [0.278, 0.119, 0.519], [0.622, 0.392, 0.765], [0.500, 0.500, 0.500], [0.000, 0.000, 0.000], [0.249, 0.960, 0.539], [0.040, 0.461, 0.751], [0.960, 0.539, 0.249], [0.539, 0.249, 0.960], [0.461, 0.751, 0.040], [0.751, 0.040, 0.461], [0.648, 0.648, 0.648], [0.352, 0.352, 0.352], [0.154, 0.154, 0.154], [0.846, 0.846, 0.846]]
}

---

[6]
{
  "formula": "Ba4Bi3F17",
  "functional": "PBE-GGA",
  "state": "optimized geometry",
  "space_group": "P1 (1)",
  "formation_enthalpy_0k_ev_per_atom": -3.5032,
  "lattice": [[-3.802, -8.097, 3.374], [2.734, -7.070, -5.896], [7.087, -4.869, 4.425]],
  "species": ["F", "F", "F", "F", "F", "F", "F", "F", "F", "F", "F", "F", "F", "F", "F", "F", "F", "F", "F", "F", "F", "F", "F", "F", "F", "F", "F", "F", "F", "F", "F", "F", "F", "F", "Ba", "Ba", "Ba", "Ba", "Ba", "Ba", "Ba", "Ba", "Bi", "Bi", "Bi", "Bi", "Bi", "Bi"],
  "fractional_positions": [[0.954, 0.516, 0.642], [0.176, 0.456, 0.018], [0.554, 0.418, 0.539], [0.450, 0.740, 0.653], [0.488, 0.357, 0.048], [0.346, 0.549, 0.262], [0.862, 0.859, 0.862], [0.738, 0.653, 0.451], [0.731, 0.159, 0.606], [0.822, 0.548, 0.980], [0.662, 0.446, 0.760], [0.919, 0.215, 0.737], [0.808, 0.403, 0.288], [0.139, 0.142, 0.136], [0.356, 0.046, 0.486], [0.738, 0.923, 0.212], [0.018, 0.177, 0.451], [0.644, 0.955, 0.507], [0.980, 0.825, 0.546], [0.556, 0.251, 0.341], [0.452, 0.021, 0.177], [0.259, 0.349, 0.551], [0.597, 0.706, 0.199], [0.788, 0.264, 0.077], [0.077, 0.791, 0.261], [0.214, 0.737, 0.918], [0.043, 0.497, 0.355], [0.294, 0.802, 0.407], [0.265, 0.084, 0.781], [0.507, 0.646, 0.957], [0.003, 0.000, 0.996], [0.403, 0.285, 0.818], [0.546, 0.982, 0.826], [0.200, 0.589, 0.707], [0.308, 0.895, 0.051], [0.731, 0.737, 0.733], [0.057, 0.311, 0.883], [0.888, 0.060, 0.310], [0.941, 0.690, 0.113], [0.110, 0.950, 0.688], [0.261, 0.269, 0.269], [0.692, 0.110, 0.945], [0.154, 0.615, 0.465], [0.384, 0.533, 0.839], [0.531, 0.846, 0.386], [0.615, 0.466, 0.160], [0.474, 0.180, 0.612], [0.810, 0.385, 0.539]]
}

---

[7]
{
  "formula": "CuPtO2",
  "functional": "PBE-GGA",
  "state": "optimized geometry",
  "space_group": "Pmmm (47)",
  "formation_enthalpy_0k_ev_per_atom": -0.8135,
  "lattice": [[-2.657, -1.351, -0.149], [1.426, -2.799, -0.046], [-0.201, -0.190, 5.298]],
  "species": ["Pt", "O", "O", "Cu"],
  "fractional_positions": [[0.000, 0.000, 0.000], [0.000, 0.500, 0.748], [0.000, 0.500, 0.252], [0.500, 0.500, 0.500]]
}